Entry 1:
! Sr4LiB3O9 | the Materials Project database | PBE-GGA | relaxed; values from VASP
! Energy relative to the elements, meV/atom: -3141
! VASP energy, eV/cell: -963.65
! Space group: Ia-3d, No. 230
&SYSTEM
  ibrav = 0, nat = 136, ntyp = 4
/
ATOMIC_SPECIES
Sr 87.62 Sr.upf
Li 6.94 Li.upf
B 10.81 B.upf
O 16.00 O.upf
ATOMIC_POSITIONS angstrom
Sr 0.0000 3.7770 11.2794
Sr 0.0000 3.7770 7.6057
Sr 3.7254 0.0000 3.7770
Sr 7.5540 3.7770 -0.0517
Sr 7.5540 3.7770 -3.7254
Sr 11.2794 0.0000 3.7770
Sr -3.7254 7.5540 3.7770
Sr 7.5540 3.7770 7.5024
Sr 3.7770 11.2794 0.0000
Sr 3.7770 7.5024 7.5540
Sr 0.0000 3.7770 3.7254
Sr 0.0000 0.0000 0.0000
Sr 7.5540 0.0000 0.0000
Sr 7.5024 7.5540 3.7770
Sr 3.7770 3.7770 -3.7770
Sr 3.8287 7.5540 3.7770
Sr 0.0000 3.7770 0.0517
Sr -0.0517 7.5540 3.7770
Sr 3.7770 -3.7254 7.5540
Sr 7.6057 0.0000 3.7770
Sr 3.7770 -0.0517 7.5540
Sr 3.7770 7.6057 0.0000
Sr 3.7770 0.0517 0.0000
Sr -3.7770 3.7770 3.7770
Sr 3.7770 -3.7770 3.7770
Sr 0.0000 0.0000 7.5540
Sr 3.7770 3.8287 7.5540
Sr 0.0517 0.0000 3.7770
Sr 3.7770 3.7770 3.7770
Sr 0.0000 7.5540 0.0000
Sr 3.7770 3.7254 0.0000
Sr 7.5540 3.7770 3.8287
Li 1.8885 1.8885 1.8885
Li 1.8885 9.4425 -1.8885
Li 1.8885 -1.8885 5.6655
Li 5.6655 5.6655 5.6655
Li -1.8885 5.6655 1.8885
Li 5.6655 1.8885 -1.8885
Li 9.4425 -1.8885 1.8885
Li -1.8885 1.8885 9.4425
B 1.6634 2.1136 9.4425
B 1.8885 -1.6634 2.1136
B 1.6634 5.4404 1.8885
B -1.6634 2.1136 1.8885
B 1.8885 1.6634 5.4404
B 5.4404 -1.8885 5.8906
B 5.4404 9.4425 -1.6634
B 5.8906 5.4404 -1.8885
B 5.6655 9.2174 5.4404
B 2.1136 5.6655 5.8907
B 5.4404 1.8885 1.6634
B 5.4404 5.6655 9.2174
B 9.2174 2.1136 -1.8885
B 5.8907 2.1136 5.6655
B 2.1136 1.8885 -1.6634
B -1.8885 9.2174 2.1136
B 9.2174 5.4404 5.6655
B 9.4425 -1.6634 5.4404
B 2.1136 -1.8885 9.2174
B 2.1136 9.4425 1.6634
B -1.8885 5.8906 5.4404
B -1.6634 5.4404 9.4425
B 5.6655 5.8907 2.1136
B 9.4425 1.6634 2.1136
O 12.4727 1.1417 1.8885
O 4.9187 -1.1417 1.8885
O 5.7617 5.7134 7.8519
O 1.9847 11.6289 -1.9364
O 1.7923 9.3946 0.2978
O 4.9187 1.1417 5.6655
O 5.5693 4.0749 -1.9364
O 5.5693 3.4792 5.6176
O 0.2978 5.7617 1.8406
O 9.4904 1.9847 3.4792
O 7.2562 5.7617 -1.8406
O -1.9364 5.5693 4.0749
O 5.6655 2.6354 8.6957
O 5.5693 -4.0749 9.4904
O 1.1417 1.8885 12.4727
O 7.2562 1.7923 5.7134
O -1.9847 4.0749 9.4904
O 5.6655 4.9187 1.1417
O 1.8406 7.2562 -1.7923
O 2.6354 6.4124 1.8885
O 1.9847 3.4792 9.4904
O 7.8519 5.7617 5.7134
O 7.2562 -1.7923 1.8406
O 11.6289 -1.9364 1.9847
O 6.4124 1.8885 2.6354
O 1.8406 0.2978 5.7617
O 0.2978 1.7923 9.3946
O -4.0749 9.4904 5.5693
O 1.9364 1.9847 4.0749
O 3.4792 -1.9364 9.5387
O -1.1417 1.8885 4.9187
O -1.8406 7.2562 5.7617
O 8.6957 5.6655 2.6354
O -1.9364 1.9847 11.6289
O 6.4124 5.6655 -4.9187
O 5.7134 0.2978 9.3464
O 1.7923 5.7134 7.2562
O 9.3946 0.2978 1.7923
O 1.8406 -0.2978 1.7923
O 9.3464 5.7134 0.2978
O 3.4792 5.6176 5.5693
O 3.4792 9.4904 1.9847
O 2.6354 1.1417 9.4425
O 1.7923 1.8406 -0.2978
O 4.0749 -1.9364 5.5693
O 5.6176 5.5693 3.4792
O 6.4124 -1.8885 4.9187
O 1.8885 4.9187 -1.1417
O 5.7134 7.2562 1.7923
O 4.9187 6.4124 -1.8885
O 9.4904 -1.9847 4.0749
O 1.1417 9.4425 2.6354
O 1.8885 2.6354 6.4124
O 5.7134 7.8519 5.7617
O -4.9187 6.4124 5.6655
O 5.7617 1.8406 0.2978
O 4.0749 9.4904 -1.9847
O 5.7617 -1.8406 7.2562
O 1.8885 12.4727 1.1417
O -1.8885 4.9187 6.4124
O 9.5387 3.4792 -1.9364
O 9.4904 5.5693 -4.0749
O -1.9364 9.5387 3.4792
O 0.2978 9.3464 5.7134
O 1.9847 4.0749 1.9364
O 1.1417 5.6655 4.9187
O 9.4425 2.6354 1.1417
O 4.0749 1.9364 1.9847
O -0.2978 1.7923 1.8406
O 2.6354 8.6957 5.6655
O 5.6655 -4.9187 6.4124
O -1.7923 1.8406 7.2562
CELL_PARAMETERS angstrom
-7.5540 7.5540 7.5540
7.5540 -7.5540 7.5540
7.5540 7.5540 -7.5540

Entry 2:
! KMg6Sn | the Materials Project database | PBE-GGA | relaxed; values from VASP
! Energy relative to the elements, meV/atom: 103
! VASP energy, eV/cell: -27.79
&SYSTEM
  ibrav = 0, nat = 16, ntyp = 3
/
ATOMIC_SPECIES
K 39.10 K.upf
Mg 24.30 Mg.upf
Sn 118.71 Sn.upf
ATOMIC_POSITIONS angstrom
K -3.8181 -2.3460 -1.5388
K -3.4554 -6.4363 3.8653
Mg -0.6252 -1.3870 -1.0117
Mg -1.8073 -2.6842 -4.2284
Mg -2.3306 -10.0329 1.0144
Mg -4.3652 -9.6844 3.6033
Mg -5.4876 -10.9161 0.5491
Mg -4.5488 -7.5905 0.8447
Mg -2.4645 -7.8937 -1.5998
Mg -1.4446 -6.7745 1.1756
Mg -0.4913 -3.5262 1.6025
Mg -4.7280 -5.5941 -1.8008
Mg -3.6483 -4.4094 1.1372
Mg -2.7096 -1.0838 1.4328
Sn -1.6091 -4.8552 -1.3386
Sn -1.2464 -8.9455 4.0654
CELL_PARAMETERS angstrom
-4.9390 1.2787 1.2994
-2.2020 -2.4164 -5.9921
-1.4765 -10.5970 4.8159

Q: Which of these has the lowest VASP energy?
A: Sr4LiB3O9